[1]
DFT (PBE-GGA) results for an optimized crystal structure of SrCo2Si2.

Geometry as POSCAR:
```
SrCo2Si2
1.0
-1.973 1.973 5.429
1.973 -1.973 5.429
1.973 1.973 -5.429
Sr Co Si
1 2 2
Cartesian
0.000 0.000 0.000
1.973 0.000 2.714
0.000 1.973 2.714
0.000 0.000 3.838
0.000 0.000 7.019
```

Values from the calculation:
Raw total energy, eV/atom: -5.88
Formation enthalpy at 0 K, kJ/mol of formula units: -241
Space group: I4/mmm

[2]
DFT (PBE-GGA) results for an optimized crystal structure of Ta3Co8Si.

Geometry as POSCAR:
```
Ta3Co8Si
1.0
4.742 0.000 0.000
-2.371 4.107 0.000
0.000 0.000 7.679
Ta Co Si
3 8 1
Cartesian
0.000 0.000 0.000
0.000 0.000 2.862
0.000 2.738 4.108
-1.169 2.063 1.468
1.176 0.679 5.322
1.169 2.063 1.468
0.000 4.087 1.468
2.371 1.369 3.372
2.371 1.369 7.223
3.566 0.679 5.322
2.371 2.749 5.322
0.000 2.738 6.919
```

Values from the calculation:
Raw total energy, eV/atom: -8.34
Formation enthalpy at 0 K, kJ/mol of formula units: -212
Space group: P3m1
Total magnetic moment, μB/f.u.: 2.642